# K3GeTe3 | the Materials Project | r²SCAN | optimized geometry
data_K3GeTe3
_symmetry_space_group_name_H-M 'C 1 2/c 1'
_symmetry_Int_Tables_number 15
_cell_length_a 16.094
_cell_length_b 13.744
_cell_length_c 9.746
_cell_angle_alpha 90.00
_cell_angle_beta 95.60
_cell_angle_gamma 90.00
loop_
_symmetry_equiv_pos_as_xyz
'x,y,z'
'-x,-y,-z'
'-x,y,-z+1/2'
'x,-y,z+1/2'
'x+1/2,y+1/2,z'
'-x+1/2,-y+1/2,-z'
'-x+1/2,y+1/2,-z+1/2'
'x+1/2,-y+1/2,z+1/2'
loop_
_atom_site_label
_atom_site_fract_x
_atom_site_fract_y
_atom_site_fract_z
_atom_site_occupancy
K1 0.000 0.093 0.250 1
K2 0.000 0.404 0.250 1
K3 0.089 0.278 0.633 1
K4 0.236 0.012 0.726 1
Ge1 0.178 0.253 0.040 1
Te1 0.089 0.110 0.937 1
Te2 0.108 0.417 0.960 1
Te3 0.189 0.242 0.308 1
# **E_form**: -0.96 eV per atom
# **Calculated density**: 3.55 g/cm³

---

# SmGa5Co | the Materials Project | r²SCAN | optimized geometry
data_SmGa5Co
_symmetry_space_group_name_H-M 'P 4/m m m'
_symmetry_Int_Tables_number 123
_symmetry_space_group_name_Hall '-P 4 2'
_cell_length_a 4.210
_cell_length_b 4.210
_cell_length_c 6.856
_cell_angle_alpha 90.00
_cell_angle_beta 90.00
_cell_angle_gamma 90.00
loop_
_atom_site_label
_atom_site_fract_x
_atom_site_fract_y
_atom_site_fract_z
_atom_site_occupancy
Sm1 0.000 0.000 0.000 1
Ga1 0.000 0.500 0.315 1
Ga2 0.500 0.500 0.000 1
Co1 0.000 0.000 0.500 1
# **E_form**: -0.46 eV per atom
# **Calculated density**: 7.62 g/cm³

---

# TlPd3 | the Materials Project | r²SCAN | optimized geometry
data_TlPd3
_symmetry_space_group_name_H-M 'I 4/m m m'
_symmetry_Int_Tables_number 139
_symmetry_space_group_name_Hall '-I 4 2'
_cell_length_a 4.181
_cell_length_b 4.181
_cell_length_c 7.592
_cell_angle_alpha 90.00
_cell_angle_beta 90.00
_cell_angle_gamma 90.00
loop_
_atom_site_label
_atom_site_fract_x
_atom_site_fract_y
_atom_site_fract_z
_atom_site_occupancy
Tl1 0.000 0.000 0.000 1
Pd1 0.000 0.000 0.500 1
Pd2 0.000 0.500 0.250 1
# **E_form**: -0.23 eV per atom
# **Calculated density**: 13.11 g/cm³

---

# LaBRh3 | the Materials Project | r²SCAN | optimized geometry
data_LaBRh3
_symmetry_space_group_name_H-M 'P m -3 m'
_symmetry_Int_Tables_number 221
_symmetry_space_group_name_Hall '-P 4 2 3'
_cell_length_a 4.262
_cell_length_b 4.262
_cell_length_c 4.262
_cell_angle_alpha 90.00
_cell_angle_beta 90.00
_cell_angle_gamma 90.00
loop_
_atom_site_label
_atom_site_fract_x
_atom_site_fract_y
_atom_site_fract_z
_atom_site_occupancy
La1 0.000 0.000 0.000 1
B1 0.500 0.500 0.500 1
Rh1 0.000 0.500 0.500 1
# **E_form**: -0.74 eV per atom
# **Calculated density**: 9.83 g/cm³